[1]
{"formula": "Ti6Ge2B", "functional": "r2SCAN", "state": "optimized geometry", "total_magnetization_mub_per_fu": 0.00, "formation_enthalpy_0k_ev_per_atom": -0.6678, "lattice": [[6.8148, 0.0000, 0.0000], [-3.4074, 5.9018, 0.0000], [0.0000, 0.0000, 3.3540]], "species": ["Ti", "Ti", "Ti", "Ti", "Ti", "Ti", "Ge", "Ge", "B"], "frac_coords": [[0.0000, 0.3946, 0.0000], [0.0000, 0.7648, 0.5000], [0.2352, 0.2352, 0.5000], [0.3946, 0.0000, 0.0000], [0.6054, 0.6054, 0.0000], [0.7648, 0.0000, 0.5000], [0.3333, 0.6667, 0.5000], [0.6667, 0.3333, 0.5000], [0.0000, 0.0000, 0.0000]]}

---

[2]
{"formula": "B2H5", "functional": "r2SCAN", "state": "optimized geometry", "total_magnetization_mub_per_fu": 0.00, "formation_enthalpy_0k_ev_per_atom": -0.0583, "lattice": [[5.7990, 0.0000, 0.0000], [0.0000, 10.0881, 0.0000], [-3.3305, 0.0000, 8.4094]], "species": ["B", "B", "B", "B", "B", "B", "B", "B", "B", "B", "B", "B", "B", "B", "B", "B", "H", "H", "H", "H", "H", "H", "H", "H", "H", "H", "H", "H", "H", "H", "H", "H", "H", "H", "H", "H", "H", "H", "H", "H", "H", "H", "H", "H", "H", "H", "H", "H", "H", "H", "H", "H", "H", "H", "H", "H"], "frac_coords": [[0.0581, 0.2027, 0.3829], [0.0581, 0.2973, 0.8829], [0.1030, 0.5865, 0.2782], [0.1030, 0.9135, 0.7782], [0.2508, 0.7313, 0.2694], [0.2508, 0.7687, 0.7694], [0.3976, 0.5751, 0.2464], [0.3976, 0.9249, 0.7464], [0.6024, 0.0751, 0.2536], [0.6024, 0.4249, 0.7536], [0.7492, 0.2313, 0.2306], [0.7492, 0.2687, 0.7306], [0.8970, 0.0865, 0.2218], [0.8970, 0.4135, 0.7218], [0.9419, 0.7027, 0.1171], [0.9419, 0.7973, 0.6171], [0.0676, 0.5675, 0.3973], [0.0676, 0.9325, 0.8973], [0.0734, 0.1765, 0.5151], [0.0734, 0.3235, 0.0151], [0.0936, 0.0712, 0.3422], [0.0936, 0.4288, 0.8422], [0.1358, 0.7046, 0.6439], [0.1358, 0.7954, 0.1439], [0.2056, 0.0122, 0.7425], [0.2056, 0.4878, 0.2425], [0.2222, 0.2360, 0.8660], [0.2222, 0.2640, 0.3660], [0.3044, 0.7003, 0.8834], [0.3044, 0.7997, 0.3834], [0.3919, 0.5458, 0.1169], [0.3919, 0.9542, 0.6169], [0.4287, 0.0417, 0.1405], [0.4287, 0.4583, 0.6405], [0.4346, 0.7117, 0.2291], [0.4346, 0.7883, 0.7291], [0.5654, 0.2117, 0.2709], [0.5654, 0.2883, 0.7709], [0.5713, 0.5417, 0.3595], [0.5713, 0.9583, 0.8595], [0.6081, 0.0458, 0.3831], [0.6081, 0.4542, 0.8831], [0.6956, 0.2003, 0.6166], [0.6956, 0.2997, 0.1166], [0.7778, 0.7360, 0.6340], [0.7778, 0.7640, 0.1340], [0.7944, 0.5122, 0.7575], [0.7944, 0.9878, 0.2575], [0.8642, 0.2046, 0.8561], [0.8642, 0.2954, 0.3561], [0.9064, 0.5712, 0.1578], [0.9064, 0.9288, 0.6578], [0.9266, 0.6765, 0.9849], [0.9266, 0.8235, 0.4849], [0.9324, 0.0675, 0.1027], [0.9324, 0.4325, 0.6027]]}

---

[3]
{"formula": "B3H5", "functional": "r2SCAN", "state": "optimized geometry", "total_magnetization_mub_per_fu": 0.00, "formation_enthalpy_0k_ev_per_atom": -0.0411, "lattice": [[3.8278, -4.6741, 0.0000], [3.8278, 4.6741, 0.0000], [0.0000, 0.0000, 8.5967]], "species": ["B", "B", "B", "B", "B", "B", "B", "B", "B", "B", "B", "B", "H", "H", "H", "H", "H", "H", "H", "H", "H", "H", "H", "H", "H", "H", "H", "H", "H", "H", "H", "H"], "frac_coords": [[0.1083, 0.5237, 0.4241], [0.1980, 0.8020, 0.5000], [0.2588, 0.7412, 0.3083], [0.3231, 0.4629, 0.3083], [0.4629, 0.3231, 0.8083], [0.4763, 0.8917, 0.4241], [0.5237, 0.1083, 0.9241], [0.5371, 0.6769, 0.3083], [0.6769, 0.5371, 0.8083], [0.7412, 0.2588, 0.8083], [0.8020, 0.1980, 0.0000], [0.8917, 0.4763, 0.9241], [0.0786, 0.9214, 0.5457], [0.0823, 0.5726, 0.9260], [0.1429, 0.6086, 0.5718], [0.1784, 0.8216, 0.2016], [0.2585, 0.3919, 0.4506], [0.2656, 0.3126, 0.2191], [0.3126, 0.2656, 0.7191], [0.3914, 0.8571, 0.5718], [0.3919, 0.2585, 0.9506], [0.4274, 0.9177, 0.9260], [0.5726, 0.0823, 0.4260], [0.6081, 0.7415, 0.4506], [0.6086, 0.1429, 0.0718], [0.6874, 0.7344, 0.2191], [0.7344, 0.6874, 0.7191], [0.7415, 0.6081, 0.9506], [0.8216, 0.1784, 0.7016], [0.8571, 0.3914, 0.0718], [0.9177, 0.4274, 0.4260], [0.9214, 0.0786, 0.0457]]}

---

[4]
{"formula": "KInBP2HO9", "functional": "r2SCAN", "state": "optimized geometry", "total_magnetization_mub_per_fu": 0.00, "formation_enthalpy_0k_ev_per_atom": -2.3238, "lattice": [[5.2749, 0.0000, 0.0000], [0.3983, 8.2695, 0.0000], [1.4865, 0.0745, 8.2551]], "species": ["K", "K", "In", "In", "B", "B", "P", "P", "P", "P", "H", "H", "O", "O", "O", "O", "O", "O", "O", "O", "O", "O", "O", "O", "O", "O", "O", "O", "O", "O"], "frac_coords": [[0.2213, 0.3239, 0.1155], [0.7787, 0.6761, 0.8845], [0.2215, 0.8062, 0.2035], [0.7785, 0.1938, 0.7965], [0.3978, 0.7328, 0.5604], [0.6022, 0.2672, 0.4396], [0.2829, 0.9374, 0.8108], [0.3051, 0.4264, 0.6993], [0.6949, 0.5736, 0.3007], [0.7171, 0.0626, 0.1892], [0.0973, 0.8826, 0.5295], [0.9027, 0.1174, 0.4705], [0.0347, 0.9844, 0.7444], [0.0574, 0.3714, 0.8002], [0.2205, 0.8166, 0.9504], [0.2259, 0.8144, 0.4607], [0.2484, 0.6049, 0.6550], [0.3663, 0.3291, 0.5398], [0.4153, 0.0829, 0.8568], [0.4703, 0.5873, 0.2090], [0.4729, 0.8474, 0.6725], [0.5271, 0.1526, 0.3275], [0.5297, 0.4127, 0.7910], [0.5847, 0.9171, 0.1432], [0.6337, 0.6709, 0.4602], [0.7516, 0.3951, 0.3450], [0.7741, 0.1856, 0.5393], [0.7795, 0.1834, 0.0496], [0.9426, 0.6286, 0.1998], [0.9653, 0.0156, 0.2556]]}

---

[5]
{"formula": "NaInBP2HO9", "functional": "r2SCAN", "state": "optimized geometry", "total_magnetization_mub_per_fu": 0.00, "formation_enthalpy_0k_ev_per_atom": -2.2968, "lattice": [[5.1766, 0.0000, 0.0000], [0.0000, 16.7909, 0.0000], [-4.6329, 0.0000, 7.6693]], "species": ["Na", "Na", "Na", "Na", "In", "In", "In", "In", "B", "B", "B", "B", "P", "P", "P", "P", "P", "P", "P", "P", "H", "H", "H", "H", "O", "O", "O", "O", "O", "O", "O", "O", "O", "O", "O", "O", "O", "O", "O", "O", "O", "O", "O", "O", "O", "O", "O", "O", "O", "O", "O", "O", "O", "O", "O", "O", "O", "O", "O", "O"], "frac_coords": [[0.0255, 0.1614, 0.1661], [0.0255, 0.3386, 0.6661], [0.9745, 0.6614, 0.3339], [0.9745, 0.8386, 0.8339], [0.4728, 0.6601, 0.7975], [0.4728, 0.8399, 0.2975], [0.5272, 0.1601, 0.7025], [0.5272, 0.3399, 0.2025], [0.3500, 0.5238, 0.2425], [0.3500, 0.9762, 0.7425], [0.6500, 0.0238, 0.2575], [0.6500, 0.4762, 0.7575], [0.2284, 0.6686, 0.0769], [0.2284, 0.8314, 0.5769], [0.2632, 0.0877, 0.9345], [0.2632, 0.4123, 0.4345], [0.7368, 0.5877, 0.5655], [0.7368, 0.9123, 0.0655], [0.7716, 0.1686, 0.4231], [0.7716, 0.3314, 0.9231], [0.2648, 0.0310, 0.5193], [0.2648, 0.4690, 0.0193], [0.7352, 0.5310, 0.9807], [0.7352, 0.9690, 0.4807], [0.0127, 0.6363, 0.6169], [0.0127, 0.8637, 0.1169], [0.0620, 0.1990, 0.5806], [0.0620, 0.3010, 0.0806], [0.1447, 0.5858, 0.1239], [0.1447, 0.9142, 0.6239], [0.1787, 0.0138, 0.8130], [0.1787, 0.4862, 0.3130], [0.3373, 0.7195, 0.2393], [0.3373, 0.7805, 0.7393], [0.3641, 0.0573, 0.1214], [0.3641, 0.4427, 0.6214], [0.4208, 0.0322, 0.6420], [0.4208, 0.4678, 0.1420], [0.4828, 0.6331, 0.5645], [0.4827, 0.6586, 0.0389], [0.4827, 0.8414, 0.5389], [0.4828, 0.8669, 0.0645], [0.5172, 0.1331, 0.9355], [0.5173, 0.1586, 0.4611], [0.5173, 0.3414, 0.9611], [0.5172, 0.3669, 0.4355], [0.5792, 0.5322, 0.8580], [0.5792, 0.9678, 0.3580], [0.6359, 0.5573, 0.3786], [0.6359, 0.9427, 0.8786], [0.6627, 0.2195, 0.2607], [0.6627, 0.2805, 0.7607], [0.8213, 0.5138, 0.6870], [0.8213, 0.9862, 0.1870], [0.8553, 0.0858, 0.3761], [0.8553, 0.4142, 0.8761], [0.9380, 0.6990, 0.9194], [0.9380, 0.8010, 0.4194], [0.9873, 0.1363, 0.8831], [0.9873, 0.3637, 0.3831]]}

---

[6]
{"formula": "KB5H5", "functional": "r2SCAN", "state": "optimized geometry", "total_magnetization_mub_per_fu": 0.03, "formation_enthalpy_0k_ev_per_atom": -0.3380, "lattice": [[6.7543, 0.0000, 0.0000], [0.0000, 11.1568, 0.0000], [-6.2819, 0.0000, 12.7475]], "species": ["K", "K", "K", "K", "K", "K", "K", "K", "B", "B", "B", "B", "B", "B", "B", "B", "B", "B", "B", "B", "B", "B", "B", "B", "B", "B", "B", "B", "B", "B", "B", "B", "B", "B", "B", "B", "B", "B", "B", "B", "B", "B", "B", "B", "B", "B", "B", "B", "H", "H", "H", "H", "H", "H", "H", "H", "H", "H", "H", "H", "H", "H", "H", "H", "H", "H", "H", "H", "H", "H", "H", "H", "H", "H", "H", "H", "H", "H", "H", "H", "H", "H", "H", "H", "H", "H", "H", "H"], "frac_coords": [[0.1107, 0.0332, 0.3414], [0.1107, 0.4668, 0.8414], [0.3180, 0.6307, 0.5528], [0.3180, 0.8693, 0.0528], [0.6820, 0.1307, 0.9472], [0.6820, 0.3693, 0.4472], [0.8893, 0.5332, 0.1586], [0.8893, 0.9668, 0.6586], [0.1026, 0.2200, 0.6298], [0.1026, 0.2800, 0.1298], [0.1200, 0.2322, 0.5074], [0.1200, 0.2678, 0.0074], [0.2009, 0.1422, 0.0998], [0.2009, 0.3578, 0.5998], [0.2518, 0.1070, 0.5918], [0.2518, 0.3930, 0.0918], [0.3009, 0.1607, 0.0105], [0.3009, 0.3393, 0.5105], [0.3095, 0.1364, 0.7183], [0.3095, 0.3636, 0.2183], [0.3666, 0.2151, 0.2225], [0.3666, 0.2849, 0.7225], [0.4101, 0.1993, 0.5456], [0.4101, 0.3007, 0.0456], [0.4861, 0.6723, 0.8154], [0.4861, 0.8277, 0.3154], [0.4928, 0.1763, 0.1375], [0.4928, 0.3237, 0.6375], [0.5072, 0.6763, 0.3625], [0.5072, 0.8237, 0.8625], [0.5139, 0.1723, 0.6846], [0.5139, 0.3277, 0.1846], [0.5899, 0.6993, 0.9544], [0.5899, 0.8007, 0.4544], [0.6334, 0.7151, 0.2775], [0.6334, 0.7849, 0.7775], [0.6905, 0.6364, 0.7817], [0.6905, 0.8636, 0.2817], [0.6991, 0.6607, 0.4895], [0.6991, 0.8393, 0.9895], [0.7482, 0.6070, 0.9082], [0.7482, 0.8930, 0.4082], [0.7991, 0.6422, 0.4002], [0.7991, 0.8578, 0.9002], [0.8800, 0.7322, 0.9926], [0.8800, 0.7678, 0.4926], [0.8974, 0.7200, 0.8702], [0.8974, 0.7800, 0.3702], [0.0427, 0.7136, 0.0730], [0.0427, 0.7864, 0.5730], [0.0763, 0.7194, 0.8715], [0.0763, 0.7806, 0.3715], [0.1051, 0.0516, 0.1008], [0.1051, 0.4484, 0.6008], [0.2036, 0.0070, 0.5587], [0.2036, 0.4930, 0.0587], [0.2911, 0.0945, 0.9427], [0.2911, 0.4055, 0.4427], [0.3046, 0.6312, 0.7668], [0.3046, 0.8688, 0.2668], [0.3087, 0.0710, 0.7840], [0.3087, 0.4290, 0.2840], [0.3439, 0.6162, 0.3288], [0.3439, 0.8838, 0.8288], [0.4215, 0.1593, 0.3022], [0.4215, 0.3407, 0.8022], [0.4996, 0.1513, 0.4988], [0.4996, 0.3487, 0.9988], [0.5004, 0.6513, 0.0012], [0.5004, 0.8487, 0.5012], [0.5785, 0.6593, 0.1978], [0.5785, 0.8407, 0.6978], [0.6561, 0.1162, 0.1712], [0.6561, 0.3838, 0.6712], [0.6913, 0.5710, 0.7160], [0.6913, 0.9290, 0.2160], [0.6954, 0.1312, 0.7332], [0.6954, 0.3688, 0.2332], [0.7089, 0.5945, 0.5573], [0.7089, 0.9055, 0.0573], [0.7964, 0.5070, 0.9413], [0.7964, 0.9930, 0.4413], [0.8949, 0.5516, 0.3992], [0.8949, 0.9484, 0.8992], [0.9237, 0.2194, 0.6285], [0.9237, 0.2806, 0.1285], [0.9573, 0.2136, 0.4270], [0.9573, 0.2864, 0.9270]]}

---

[7]
{"formula": "KB6H6", "functional": "r2SCAN", "state": "optimized geometry", "total_magnetization_mub_per_fu": 0.00, "formation_enthalpy_0k_ev_per_atom": -0.4085, "lattice": [[0.0000, 5.2688, 5.2688], [5.2688, 0.0000, 5.2688], [5.2688, 5.2688, 0.0000]], "species": ["K", "K", "B", "B", "B", "B", "B", "B", "B", "B", "B", "B", "B", "B", "H", "H", "H", "H", "H", "H", "H", "H", "H", "H", "H", "H"], "frac_coords": [[0.2500, 0.2500, 0.2500], [0.7500, 0.7500, 0.7500], [0.0528, 0.2204, 0.7796], [0.0528, 0.7796, 0.9472], [0.0528, 0.9472, 0.2204], [0.2204, 0.0528, 0.9472], [0.2204, 0.7796, 0.0528], [0.2204, 0.9472, 0.7796], [0.7796, 0.0528, 0.2204], [0.7796, 0.2204, 0.9472], [0.7796, 0.9472, 0.0528], [0.9472, 0.0528, 0.7796], [0.9472, 0.2204, 0.0528], [0.9472, 0.7796, 0.2204], [0.0929, 0.3760, 0.6240], [0.0929, 0.6240, 0.9071], [0.0929, 0.9071, 0.3760], [0.3760, 0.0929, 0.9071], [0.3760, 0.6240, 0.0929], [0.3760, 0.9071, 0.6240], [0.6240, 0.0929, 0.3760], [0.6240, 0.3760, 0.9071], [0.6240, 0.9071, 0.0929], [0.9071, 0.0929, 0.6240], [0.9071, 0.3760, 0.0929], [0.9071, 0.6240, 0.3760]]}

---

[8]
{"formula": "NaBH4", "functional": "r2SCAN", "state": "optimized geometry", "total_magnetization_mub_per_fu": 0.00, "formation_enthalpy_0k_ev_per_atom": -0.3687, "lattice": [[0.0000, 3.0191, 3.0191], [3.0191, 0.0000, 3.0191], [3.0191, 3.0191, 0.0000]], "species": ["Na", "B", "H", "H", "H", "H"], "frac_coords": [[0.0000, 0.0000, 0.0000], [0.5000, 0.5000, 0.5000], [0.1510, 0.6163, 0.6163], [0.6163, 0.1510, 0.6163], [0.6163, 0.6163, 0.1510], [0.6163, 0.6163, 0.6163]]}